1.
Compound: SrAs2O6
Source: the Materials Project database
Functional: r2SCAN
Structure: optimized geometry

Cell: 4.879 4.879 5.451 Å, 90.00 90.00 120.00°
Element x y z (fractional)
Sr 0.000 0.000 0.000
As 0.333 0.667 0.500
As 0.667 0.333 0.500
O 0.000 0.384 0.309
O 0.000 0.616 0.691
O 0.384 0.000 0.309
O 0.384 0.384 0.691
O 0.616 0.000 0.691
O 0.616 0.616 0.309

Magnetic moment ... 0.000 μB per atom
Formation energy ... -1.953 eV per atom
SG ... No. 162

2.
Compound: UN2
Source: the Materials Project database
Functional: r2SCAN
Structure: optimized geometry

Cell: 3.721 3.721 3.721 Å, 60.00 60.00 60.00°
Element x y z (fractional)
U 0.000 0.000 0.000
N 0.250 0.250 0.250
N 0.750 0.750 0.750

Magnetic moment ... 0.000 μB per atom
Formation energy ... -1.643 eV per atom
SG ... No. 225

3.
Compound: Yb4Al
Source: the Materials Project database
Functional: r2SCAN
Structure: optimized geometry

Cell: 7.709 7.709 7.709 Å, 60.00 60.00 60.00°
Element x y z (fractional)
Yb 0.192 0.769 0.769
Yb 0.231 0.231 0.231
Yb 0.231 0.231 0.808
Yb 0.231 0.808 0.231
Yb 0.769 0.192 0.769
Yb 0.769 0.769 0.192
Yb 0.769 0.769 0.769
Yb 0.808 0.231 0.231
Al 0.375 0.375 0.375
Al 0.625 0.625 0.625

Magnetic moment ... 0.001 μB per atom
Formation energy ... 0.530 eV per atom
SG ... No. 227

4.
Compound: Tb4MgRu
Source: the Materials Project database
Functional: r2SCAN
Structure: optimized geometry

Cell: 9.702 9.702 9.702 Å, 60.00 60.00 60.00°
Element x y z (fractional)
Tb 0.030 0.657 0.657
Tb 0.062 0.062 0.438
Tb 0.062 0.438 0.062
Tb 0.062 0.438 0.438
Tb 0.187 0.187 0.813
Tb 0.187 0.813 0.187
Tb 0.187 0.813 0.813
Tb 0.438 0.062 0.062
Tb 0.438 0.062 0.438
Tb 0.438 0.438 0.062
Tb 0.657 0.030 0.657
Tb 0.657 0.657 0.030
Tb 0.657 0.657 0.657
Tb 0.813 0.187 0.187
Tb 0.813 0.187 0.813
Tb 0.813 0.813 0.187
Mg 0.421 0.421 0.421
Mg 0.421 0.421 0.736
Mg 0.421 0.736 0.421
Mg 0.736 0.421 0.421
Ru 0.416 0.861 0.861
Ru 0.861 0.416 0.861
Ru 0.861 0.861 0.416
Ru 0.861 0.861 0.861

Magnetic moment ... 0.000 μB per atom
Formation energy ... -0.262 eV per atom
SG ... No. 216

5.
Compound: Gd6CoBr10
Source: the Materials Project database
Functional: r2SCAN
Structure: optimized geometry

Cell: 7.359 9.062 9.266 Å, 108.42 97.25 105.43°
Element x y z (fractional)
Gd 0.030 0.213 0.411
Gd 0.126 0.547 0.251
Gd 0.360 0.636 0.679
Gd 0.640 0.364 0.321
Gd 0.874 0.453 0.749
Gd 0.970 0.787 0.589
Co 0.000 0.500 0.500
Br 0.089 0.872 0.326
Br 0.209 0.239 0.150
Br 0.258 0.585 0.959
Br 0.354 0.962 0.776
Br 0.451 0.316 0.584
Br 0.549 0.684 0.416
Br 0.646 0.038 0.224
Br 0.742 0.415 0.041
Br 0.791 0.761 0.850
Br 0.911 0.128 0.674

Magnetic moment ... 0.882 μB per atom
Formation energy ... -1.774 eV per atom
SG ... No. 2

6.
Compound: Na2PdF4
Source: the Materials Project database
Functional: r2SCAN
Structure: optimized geometry

Cell: 3.370 5.566 9.904 Å, 90.00 93.89 90.00°
Element x y z (fractional)
Na 0.219 0.045 0.151
Na 0.219 0.455 0.651
Na 0.781 0.545 0.349
Na 0.781 0.955 0.849
Pd 0.500 0.000 0.500
Pd 0.500 0.500 0.000
F 0.284 0.679 0.838
F 0.284 0.821 0.338
F 0.286 0.192 0.926
F 0.286 0.308 0.426
F 0.714 0.692 0.574
F 0.714 0.808 0.074
F 0.716 0.179 0.662
F 0.716 0.321 0.162

Magnetic moment ... 0.000 μB per atom
Formation energy ... -2.332 eV per atom
SG ... No. 14

7.
Compound: GdSe2
Source: the Materials Project database
Functional: r2SCAN
Structure: optimized geometry

Cell: 4.091 4.091 8.395 Å, 90.00 90.00 90.00°
Element x y z (fractional)
Gd 0.250 0.250 0.226
Gd 0.750 0.750 0.774
Se 0.250 0.250 0.869
Se 0.250 0.750 0.500
Se 0.750 0.250 0.500
Se 0.750 0.750 0.131

Magnetic moment ... 2.320 μB per atom
Formation energy ... -1.790 eV per atom
SG ... No. 129

8.
Compound: Ce3Ag4Ge4
Source: the Materials Project database
Functional: r2SCAN
Structure: optimized geometry

Cell: 8.525 8.525 7.150 Å, 114.72 114.72 30.50°
Element x y z (fractional)
Ce 0.000 0.000 0.000
Ce 0.130 0.130 0.631
Ce 0.870 0.870 0.369
Ag 0.333 0.333 0.027
Ag 0.333 0.333 0.638
Ag 0.667 0.667 0.362
Ag 0.667 0.667 0.973
Ge 0.216 0.216 0.216
Ge 0.500 0.500 0.322
Ge 0.500 0.500 0.678
Ge 0.784 0.784 0.784

Magnetic moment ... 0.271 μB per atom
Formation energy ... -0.575 eV per atom
SG ... No. 12